[1]
10
Lattice="0.0000 3.9913 3.9913 3.9913 0.0000 3.9913 3.9913 3.9913 0.0000" Properties=species:S:1:pos:R:3 comment="KEuMgWO6 (PBE with a Hubbard U, optimized geometry)" delta_e_f_ev_per_fu=-26.13 magmom_total_mub_per_cell=6.00 spacegroup=F-43m pbc="T T T"
K 0.0000 0.0000 0.0000
Eu 3.9913 3.9913 3.9913
Mg 1.9956 1.9956 1.9956
W 5.9869 5.9869 5.9869
O 5.9869 5.9869 4.0547
O 5.9869 4.0547 5.9869
O 7.9191 5.9869 5.9869
O 4.0547 5.9869 5.9869
O 5.9869 7.9191 5.9869
O 5.9869 5.9869 7.9191

[2]
18
Lattice="7.7257 0.0000 0.0000 0.0000 3.8061 3.8282 0.0000 -3.8061 3.8282" Properties=species:S:1:pos:R:3 comment="KEuNi4O12 (PBE with a Hubbard U, optimized geometry)" delta_e_f_ev_per_fu=-8.12 magmom_total_mub_per_cell=3.73 spacegroup=Amm2 pbc="T T T"
K 0.0000 0.0000 0.0000
Eu 3.8629 0.0000 3.6769
Ni 1.9174 -1.8868 5.6541
Ni 1.9174 1.8868 5.6541
Ni 5.8084 -1.8868 5.6541
Ni 5.8084 1.8868 5.6541
O 0.0000 -1.6766 5.6402
O 0.0000 1.6766 5.6402
O 1.7236 0.0000 2.0923
O 1.9560 -2.1018 3.7455
O 1.9560 2.1018 3.7455
O 2.1927 0.0000 5.3973
O 3.8629 -1.6638 1.8580
O 3.8629 1.6638 1.8580
O 5.5331 0.0000 5.3973
O 5.7697 -2.1018 3.7455
O 5.7697 2.1018 3.7455
O 6.0021 0.0000 2.0923

[3]
40
Lattice="8.4043 0.0000 0.0000 0.0000 8.4179 0.0000 0.0000 0.0000 8.4409" Properties=species:S:1:pos:R:3 comment="KEuSbWO6 (PBE with a Hubbard U, optimized geometry)" delta_e_f_ev_per_fu=-22.49 magmom_total_mub_per_cell=28.00 spacegroup=Pnnn de_polymorph_ev_per_atom=0.000 pbc="T T T"
K 2.1011 2.1045 2.1102
K 2.1011 6.3134 6.3307
K 6.3032 2.1045 2.1102
K 6.3032 6.3134 6.3307
Eu 2.1011 2.1045 6.3307
Eu 2.1011 6.3134 2.1102
Eu 6.3032 2.1045 6.3307
Eu 6.3032 6.3134 2.1102
Sb 0.0000 0.0000 0.0000
Sb 0.0000 4.2090 4.2204
Sb 4.2021 0.0000 4.2204
Sb 4.2021 4.2090 0.0000
W 0.0000 0.0000 4.2204
W 0.0000 4.2090 0.0000
W 4.2021 0.0000 0.0000
W 4.2021 4.2090 4.2204
O 0.1121 0.2067 6.1799
O 0.1121 4.0023 6.4815
O 0.1191 6.1605 8.4032
O 0.1191 6.4664 4.2581
O 1.9469 0.1017 4.1103
O 1.9469 4.1073 0.1101
O 2.2552 0.1017 0.1101
O 2.2552 4.1073 4.1103
O 4.0830 6.1605 4.2581
O 4.0830 6.4664 8.4032
O 4.0900 0.2067 6.4815
O 4.0900 4.0023 6.1799
O 4.3143 4.4157 2.2610
O 4.3143 8.2112 1.9594
O 4.3213 1.9515 0.0377
O 4.3213 2.2574 4.1828
O 6.1491 4.3106 4.3305
O 6.1491 8.3163 8.3308
O 6.4573 4.3106 8.3308
O 6.4573 8.3163 4.3305
O 8.2851 1.9515 4.1828
O 8.2851 2.2574 0.0377
O 8.2921 4.4157 1.9594
O 8.2921 8.2112 2.2610

[4]
10
Lattice="0.0000 4.2131 4.2131 4.2131 0.0000 4.2131 4.2131 4.2131 0.0000" Properties=species:S:1:pos:R:3 comment="KEuSbWO6 (PBE with a Hubbard U, optimized geometry)" delta_e_f_ev_per_fu=-22.42 magmom_total_mub_per_cell=7.00 spacegroup=F-43m de_polymorph_ev_per_atom=0.007 pbc="T T T"
K 0.0000 0.0000 0.0000
Eu 4.2131 4.2131 4.2131
Sb 2.1065 2.1065 2.1065
W 6.3196 6.3196 6.3196
O 6.3196 6.3196 4.3656
O 6.3196 4.3656 6.3196
O 8.2736 6.3196 6.3196
O 4.3656 6.3196 6.3196
O 6.3196 8.2736 6.3196
O 6.3196 6.3196 8.2736

[5]
20
Lattice="6.0077 0.0000 0.0000 0.0000 6.0077 0.0000 0.0000 0.0000 8.4323" Properties=species:S:1:pos:R:3 comment="KEuSnWO6 (PBE with a Hubbard U, optimized geometry)" delta_e_f_ev_per_fu=-22.42 magmom_total_mub_per_cell=12.00 spacegroup=P4_2/mmc de_polymorph_ev_per_atom=0.000 pbc="T T T"
K 0.0000 0.0000 2.1081
K 0.0000 0.0000 6.3243
Eu 0.0000 3.0039 0.0000
Eu 3.0039 0.0000 4.2162
Sn 3.0039 3.0039 2.1081
Sn 3.0039 3.0039 6.3243
W 0.0000 3.0039 4.2162
W 3.0039 0.0000 0.0000
O 0.0000 3.0039 2.2734
O 0.0000 3.0039 6.1590
O 1.4270 1.6679 4.2162
O 1.4270 4.3398 4.2162
O 1.6679 1.4270 0.0000
O 1.6679 4.5807 0.0000
O 3.0039 0.0000 1.9428
O 3.0039 0.0000 6.4895
O 4.3398 1.4270 0.0000
O 4.3398 4.5807 0.0000
O 4.5807 1.6679 4.2162
O 4.5807 4.3398 4.2162

[6]
10
Lattice="0.0000 4.2401 4.2401 4.2401 0.0000 4.2401 4.2401 4.2401 0.0000" Properties=species:S:1:pos:R:3 comment="KEuSnWO6 (PBE with a Hubbard U, optimized geometry)" delta_e_f_ev_per_fu=-22.32 spacegroup=F-43m de_polymorph_ev_per_atom=0.010 pbc="T T T"
K 0.0000 0.0000 0.0000
Eu 2.1201 2.1201 2.1201
Sn 4.2401 4.2401 4.2401
W 6.3602 6.3602 6.3602
O 6.3602 6.3602 4.4116
O 6.3602 4.4116 6.3602
O 8.3087 6.3602 6.3602
O 4.4116 6.3602 6.3602
O 6.3602 8.3087 6.3602
O 6.3602 6.3602 8.3087

[7]
10
Lattice="0.0000 4.2052 4.2052 4.2052 0.0000 4.2052 4.2052 4.2052 0.0000" Properties=species:S:1:pos:R:3 comment="KTbEuWO6 (PBE with a Hubbard U, optimized geometry)" delta_e_f_ev_per_fu=-29.13 magmom_total_mub_per_cell=7.01 spacegroup=F-43m pbc="T T T"
K 0.0000 0.0000 0.0000
Tb 2.1026 2.1026 2.1026
Eu 4.2052 4.2052 4.2052
W 6.3078 6.3078 6.3078
O 6.3078 6.3078 4.3526
O 6.3078 4.3526 6.3078
O 8.2630 6.3078 6.3078
O 4.3526 6.3078 6.3078
O 6.3078 8.2630 6.3078
O 6.3078 6.3078 8.2630

[8]
18
Lattice="7.3851 0.0000 0.0000 0.0000 3.7019 4.3245 0.0000 -3.7019 4.3245" Properties=species:S:1:pos:R:3 comment="KEuV4O12 (PBE with a Hubbard U, optimized geometry)" delta_e_f_ev_per_fu=-43.18 magmom_total_mub_per_cell=6.00 spacegroup=Amm2 pbc="T T T"
K 0.0000 0.0000 0.0000
Eu 3.6925 0.0000 4.1078
V 1.8407 -1.8213 6.3564
V 1.8407 1.8213 6.3564
V 5.5443 -1.8213 6.3564
V 5.5443 1.8213 6.3564
O 0.0000 -1.8712 2.3051
O 0.0000 1.8712 2.3051
O 1.8548 0.0000 2.4439
O 1.9278 -1.7968 4.7001
O 1.9278 1.7968 4.7001
O 1.9646 0.0000 6.6756
O 3.6925 -1.7576 2.4985
O 3.6925 1.7576 2.4985
O 5.4205 0.0000 6.6756
O 5.4573 -1.7968 4.7001
O 5.4573 1.7968 4.7001
O 5.5302 0.0000 2.4439